Record 1
Compound: DySiPd2
Source: the Materials Project
Functional: meta-GGA r2SCAN
Structure: optimized geometry

Lattice parameters (Å, degrees): 7.3101 6.9301 5.5153 90.00 90.00 90.00
With the nearest neighbours (Å) after each atom.
Space group Pnma (No. 62)
Inequivalent atoms, fractional coordinates:
1 Dy 0.0289 0.2500 0.1433 (multiplicity 4)  8 Pd 2.96-3.19, 3 Si 2.97-3.00
2 Si 0.1230 0.7500 0.3566 (multiplicity 4)  6 Pd 2.48-2.60
3 Pd 0.1773 0.0518 0.5931 (multiplicity 8)  3 Si 2.48-2.60, 1 Pd 2.75

Computed properties:
Total moment ... 0.00 μB/f.u.
Energy relative to the elements ... -4.1 eV per formula unit

=====

Record 2
Compound: DyTlPd
Source: the Materials Project
Functional: meta-GGA r2SCAN
Structure: optimized geometry

Lattice parameters (Å, degrees): 7.7876 7.7876 3.7735 90.00 90.00 120.00
With the nearest neighbours (Å) after each atom.
Space group P-62m (No. 189)
Inequivalent atoms, fractional coordinates:
1 Dy 0.0000 0.5976 0.0000 (multiplicity 3)  5 Pd 3.03-3.13, 6 Tl 3.19-3.35
2 Tl 0.0000 0.2679 0.5000 (multiplicity 3)  4 Pd 2.81-2.88
3 Pd 0.0000 0.0000 0.0000 (multiplicity 1)  6 Tl 2.81, 3 Dy 3.13
4 Pd 0.3333 0.6667 0.5000 (multiplicity 2)  3 Tl 2.88, 6 Dy 3.03

Computed properties:
Total moment ... 0.00 μB/f.u.
Energy relative to the elements ... -2.2 eV per formula unit

=====

Record 3
Compound: DyZnPd
Source: the Materials Project
Functional: meta-GGA r2SCAN
Structure: optimized geometry

Lattice parameters (Å, degrees): 7.2181 7.2181 3.8553 90.00 90.00 120.00
With the nearest neighbours (Å) after each atom.
Space group P-62m (No. 189)
Inequivalent atoms, fractional coordinates:
1 Dy 0.0000 0.5952 0.0000 (multiplicity 3)  5 Pd 2.92, 6 Zn 3.15-3.20
2 Zn 0.0000 0.2497 0.5000 (multiplicity 3)  4 Pd 2.64-2.76
3 Pd 0.0000 0.0000 0.0000 (multiplicity 1)  6 Zn 2.64, 3 Dy 2.92
4 Pd 0.3333 0.6667 0.5000 (multiplicity 2)  3 Zn 2.76, 6 Dy 2.92

Computed properties:
Total moment ... 0.00 μB/f.u.
Energy relative to the elements ... -2.3 eV per formula unit

=====

Record 4
Compound: PmDy3
Source: the Materials Project
Functional: meta-GGA r2SCAN
Structure: optimized geometry

Lattice parameters (Å, degrees): 5.0536 5.0536 5.0536 90.00 90.00 90.00
With the nearest neighbours (Å) after each atom.
Space group Pm-3m (No. 221)
Inequivalent atoms, fractional coordinates:
1 Pm 0.0000 0.0000 0.0000 (multiplicity 1)  12 Dy 3.57
2 Dy 0.0000 0.5000 0.5000 (multiplicity 3)  8 Dy 3.57, 4 Pm 3.57

Computed properties:
Total moment ... 0.01 μB/f.u.
Energy relative to the elements ... 0.2 eV per formula unit
Polymorph energy (0 for the lowest one) ... 22 meV per atom

=====

Record 5
Compound: Pm3Dy
Source: the Materials Project
Functional: meta-GGA r2SCAN
Structure: optimized geometry

Lattice parameters (Å, degrees): 7.4005 7.4005 5.7845 90.00 90.00 120.00
With the nearest neighbours (Å) after each atom.
Space group P6_3/mmc (No. 194)
Inequivalent atoms, fractional coordinates:
1 Pm 0.1672 0.3343 0.2500 (multiplicity 6)  4 Dy 3.59-3.70, 8 Pm 3.60-3.71
2 Dy 0.3333 0.6667 0.7500 (multiplicity 2)  12 Pm 3.59-3.70

Computed properties:
Total moment ... 0.00 μB/f.u.
Energy relative to the elements ... 0.1 eV per formula unit
Polymorph energy (0 for the lowest one) ... 0 meV per atom

=====

Record 6
Compound: Pm3Dy
Source: the Materials Project
Functional: meta-GGA r2SCAN
Structure: optimized geometry

Lattice parameters (Å, degrees): 5.1311 5.1311 5.1311 90.00 90.00 90.00
With the nearest neighbours (Å) after each atom.
Space group Pm-3m (No. 221)
Inequivalent atoms, fractional coordinates:
1 Pm 0.0000 0.0000 0.5000 (multiplicity 3)  4 Dy 3.63, 8 Pm 3.63
2 Dy 0.5000 0.5000 0.5000 (multiplicity 1)  12 Pm 3.63

Computed properties:
Total moment ... 0.00 μB/f.u.
Energy relative to the elements ... 0.1 eV per formula unit
Polymorph energy (0 for the lowest one) ... 12 meV per atom

=====

Record 7
Compound: PmDy3
Source: the Materials Project
Functional: meta-GGA r2SCAN
Structure: optimized geometry

Lattice parameters (Å, degrees): 7.2860 7.2860 5.6870 90.00 90.00 120.00
With the nearest neighbours (Å) after each atom.
Space group P6_3/mmc (No. 194)
Inequivalent atoms, fractional coordinates:
1 Pm 0.3333 0.6667 0.2500 (multiplicity 2)  12 Dy 3.54-3.64
2 Dy 0.1659 0.3317 0.7500 (multiplicity 6)  8 Dy 3.53-3.66, 4 Pm 3.54-3.64

Computed properties:
Total moment ... 0.00 μB/f.u.
Energy relative to the elements ... 0.1 eV per formula unit
Polymorph energy (0 for the lowest one) ... 0 meV per atom

=====

Record 8
Compound: PmDy3
Source: the Materials Project
Functional: meta-GGA r2SCAN
Structure: optimized geometry

Lattice parameters (Å, degrees): 5.0569 5.0569 10.0954 90.00 90.00 90.00
With the nearest neighbours (Å) after each atom.
Space group I4/mmm (No. 139)
Inequivalent atoms, fractional coordinates:
1 Pm 0.0000 0.0000 0.0000 (multiplicity 2)  12 Dy 3.57-3.58
2 Dy 0.0000 0.0000 0.5000 (multiplicity 2)  8 Dy 3.57, 4 Pm 3.58
3 Dy 0.0000 0.5000 0.2500 (multiplicity 4)  8 Dy 3.57-3.58, 4 Pm 3.57

Computed properties:
Total moment ... 0.00 μB/f.u.
Energy relative to the elements ... 0.2 eV per formula unit
Polymorph energy (0 for the lowest one) ... 22 meV per atom

=====

Record 9
Compound: Pr3Dy
Source: the Materials Project
Functional: meta-GGA r2SCAN
Structure: optimized geometry

Lattice parameters (Å, degrees): 7.4979 7.4979 5.8740 90.00 90.00 120.00
With the nearest neighbours (Å) after each atom.
Space group P6_3/mmc (No. 194)
Inequivalent atoms, fractional coordinates:
1 Pr 0.1680 0.3360 0.2500 (multiplicity 6)  4 Dy 3.64-3.75, 8 Pr 3.66-3.78
2 Dy 0.3333 0.6667 0.7500 (multiplicity 2)  12 Pr 3.64-3.75

Computed properties:
Total moment ... 0.16 μB/f.u.
Energy relative to the elements ... 0.2 eV per formula unit
Polymorph energy (0 for the lowest one) ... 3 meV per atom

=====

Record 10
Compound: PrDy3
Source: the Materials Project
Functional: meta-GGA r2SCAN
Structure: optimized geometry

Lattice parameters (Å, degrees): 5.0909 5.0909 10.1082 90.00 90.00 90.00
With the nearest neighbours (Å) after each atom.
Space group I4/mmm (No. 139)
Inequivalent atoms, fractional coordinates:
1 Pr 0.0000 0.0000 0.0000 (multiplicity 2)  12 Dy 3.59-3.60
2 Dy 0.0000 0.0000 0.5000 (multiplicity 2)  8 Dy 3.59, 4 Pr 3.60
3 Dy 0.0000 0.5000 0.2500 (multiplicity 4)  8 Dy 3.59-3.60, 4 Pr 3.59

Computed properties:
Total moment ... 0.00 μB/f.u.
Energy relative to the elements ... 0.2 eV per formula unit
Polymorph energy (0 for the lowest one) ... 33 meV per atom

=====

Record 11
Compound: PrDy3
Source: the Materials Project
Functional: meta-GGA r2SCAN
Structure: optimized geometry

Lattice parameters (Å, degrees): 7.3126 7.3126 5.8343 90.00 90.00 120.00
With the nearest neighbours (Å) after each atom.
Space group P6_3/mmc (No. 194)
Inequivalent atoms, fractional coordinates:
1 Pr 0.3333 0.6667 0.2500 (multiplicity 2)  12 Dy 3.62-3.66
2 Dy 0.1640 0.3280 0.7500 (multiplicity 6)  8 Dy 3.58-3.71, 4 Pr 3.62-3.66

Computed properties:
Total moment ... 2.42 μB/f.u.
Energy relative to the elements ... 0.1 eV per formula unit
Polymorph energy (0 for the lowest one) ... 0 meV per atom